Entry from the Materials Project database: a relaxed Li4Co3NiO8 crystal (PBE+U).

a = 5.7102 Å, b = 5.7102 Å, c = 14.2126 Å
α = 90.00°, β = 90.00°, γ = 120.00°
Space group R-3m (No. 166, hexagonal axes)
Asymmetric unit:
Li1 0.0000 0.0000 0.0000 (multiplicity 3)
Li2 0.0000 0.5000 0.0000 (multiplicity 9)
Co1 0.0000 0.5000 0.5000 (multiplicity 9)
Ni1 0.0000 0.0000 0.5000 (multiplicity 3)
O1 0.0000 0.0000 0.2391 (multiplicity 6)
O2 0.0095 0.5048 0.7600 (multiplicity 18)

Properties
Energy relative to the elements (eV/atom): -1.69
Total moment (Bohr magnetons per cell): 3.00
Excess energy over the best structure of this formula in the dataset (meV per atom): 0